Arrangement 1

{"formula": "Er2CdS4", "functional": "PBE", "state": "optimized geometry", "lattice": [[3.980, 2.298, 32.358], [-3.980, 2.298, 32.358], [0.000, -4.596, 32.358]], "species": ["Er", "Er", "Er", "Er", "Er", "Er", "Er", "Er", "Er", "Er", "Er", "Er", "Er", "Er", "Er", "Er", "Er", "Er", "Er", "Er", "Cd", "Cd", "Cd", "Cd", "Cd", "Cd", "Cd", "Cd", "Cd", "Cd", "S", "S", "S", "S", "S", "S", "S", "S", "S", "S", "S", "S", "S", "S", "S", "S", "S", "S", "S", "S", "S", "S", "S", "S", "S", "S", "S", "S", "S", "S", "S", "S", "S", "S", "S", "S", "S", "S", "S", "S"], "frac_coords": [[0.000, 0.000, 0.000], [0.075, 0.075, 0.075], [0.075, 0.075, 0.576], [0.075, 0.576, 0.075], [0.175, 0.675, 0.675], [0.275, 0.275, 0.775], [0.275, 0.775, 0.275], [0.379, 0.873, 0.873], [0.473, 0.473, 0.981], [0.473, 0.981, 0.473], [0.475, 0.475, 0.475], [0.576, 0.075, 0.075], [0.600, 0.600, 0.600], [0.675, 0.175, 0.675], [0.675, 0.675, 0.175], [0.775, 0.275, 0.275], [0.873, 0.379, 0.873], [0.873, 0.873, 0.379], [0.875, 0.875, 0.875], [0.981, 0.473, 0.473], [0.150, 0.150, 0.150], [0.200, 0.200, 0.200], [0.276, 0.276, 0.276], [0.351, 0.351, 0.351], [0.400, 0.400, 0.400], [0.550, 0.550, 0.550], [0.676, 0.676, 0.676], [0.751, 0.751, 0.751], [0.800, 0.800, 0.800], [0.951, 0.951, 0.951], [0.007, 0.535, 0.535], [0.014, 0.014, 0.546], [0.014, 0.546, 0.014], [0.027, 0.027, 0.027], [0.124, 0.124, 0.124], [0.135, 0.135, 0.608], [0.135, 0.608, 0.135], [0.146, 0.614, 0.614], [0.205, 0.737, 0.737], [0.214, 0.214, 0.747], [0.214, 0.747, 0.214], [0.227, 0.227, 0.227], [0.324, 0.324, 0.324], [0.337, 0.337, 0.805], [0.337, 0.805, 0.337], [0.345, 0.814, 0.814], [0.405, 0.937, 0.937], [0.415, 0.415, 0.944], [0.415, 0.944, 0.415], [0.427, 0.427, 0.427], [0.524, 0.524, 0.524], [0.535, 0.007, 0.535], [0.535, 0.535, 0.007], [0.546, 0.014, 0.014], [0.608, 0.135, 0.135], [0.614, 0.146, 0.614], [0.614, 0.614, 0.146], [0.627, 0.627, 0.627], [0.724, 0.724, 0.724], [0.737, 0.205, 0.737], [0.737, 0.737, 0.205], [0.747, 0.214, 0.214], [0.805, 0.337, 0.337], [0.814, 0.345, 0.814], [0.814, 0.814, 0.345], [0.827, 0.827, 0.827], [0.924, 0.924, 0.924], [0.937, 0.405, 0.937], [0.937, 0.937, 0.405], [0.944, 0.415, 0.415]], "magnetic_moment_mub_per_fu": 0.00, "spacegroup": "R3m"}

=====

Arrangement 2

{"formula": "Er2CdS4", "functional": "PBE", "state": "optimized geometry", "lattice": [[0.000, 5.614, 5.614], [5.614, 0.000, 5.614], [5.614, 5.614, 0.000]], "species": ["Er", "Er", "Er", "Er", "Cd", "Cd", "S", "S", "S", "S", "S", "S", "S", "S"], "frac_coords": [[0.000, 0.000, 0.000], [0.000, 0.000, 0.500], [0.000, 0.500, 0.000], [0.500, 0.000, 0.000], [0.375, 0.375, 0.375], [0.625, 0.625, 0.625], [0.226, 0.758, 0.758], [0.242, 0.242, 0.242], [0.242, 0.242, 0.774], [0.242, 0.774, 0.242], [0.758, 0.226, 0.758], [0.758, 0.758, 0.226], [0.758, 0.758, 0.758], [0.774, 0.242, 0.242]], "spacegroup": "Fd-3m"}

=====

Relative energies with respect to the most stable structure, expressed in meV per atom: arrangement 1 38; arrangement 2 0.

=====

Arrangement 1

{"formula": "Cd4SF6", "functional": "PBE", "state": "optimized geometry", "lattice": [[8.005, 0.000, 0.000], [0.000, 8.005, 0.000], [0.000, 0.000, 5.611]], "species": ["Cd", "Cd", "Cd", "Cd", "Cd", "Cd", "Cd", "Cd", "S", "S", "F", "F", "F", "F", "F", "F", "F", "F", "F", "F", "F", "F"], "frac_coords": [[0.014, 0.250, 0.017], [0.250, 0.014, 0.517], [0.250, 0.486, 0.517], [0.486, 0.250, 0.017], [0.514, 0.750, 0.983], [0.750, 0.514, 0.483], [0.750, 0.986, 0.483], [0.986, 0.750, 0.983], [0.250, 0.750, 0.750], [0.750, 0.250, 0.250], [0.036, 0.536, 0.250], [0.036, 0.964, 0.250], [0.250, 0.250, 0.278], [0.250, 0.250, 0.778], [0.464, 0.536, 0.250], [0.464, 0.964, 0.250], [0.536, 0.036, 0.750], [0.536, 0.464, 0.750], [0.750, 0.750, 0.222], [0.750, 0.750, 0.722], [0.964, 0.036, 0.750], [0.964, 0.464, 0.750]], "spacegroup": "P4_2/nmc"}

=====

Arrangement 2

{"formula": "Cd4SF6", "functional": "PBE", "state": "optimized geometry", "lattice": [[1.952, 1.127, 12.612], [-1.952, 1.127, 12.612], [0.000, -2.254, 12.612]], "species": ["Cd", "Cd", "Cd", "Cd", "S", "F", "F", "F", "F", "F", "F"], "frac_coords": [[0.126, 0.126, 0.126], [0.292, 0.292, 0.292], [0.708, 0.708, 0.708], [0.874, 0.874, 0.874], [0.500, 0.500, 0.500], [0.063, 0.063, 0.063], [0.230, 0.230, 0.230], [0.354, 0.354, 0.354], [0.646, 0.646, 0.646], [0.770, 0.770, 0.770], [0.937, 0.937, 0.937]], "magnetic_moment_mub_per_fu": 0.00, "spacegroup": "R-3m"}

=====

Relative energies with respect to the most stable structure, expressed in meV per atom: arrangement 1 0; arrangement 2 19.

=====

Arrangement 1

{"formula": "Mg14CdFe", "functional": "PBE", "state": "optimized geometry", "lattice": [[9.903, 0.000, 0.000], [0.000, 3.151, 5.425], [0.000, -3.151, 5.425]], "species": ["Mg", "Mg", "Mg", "Mg", "Mg", "Mg", "Mg", "Mg", "Mg", "Mg", "Mg", "Mg", "Mg", "Mg", "Cd", "Fe"], "frac_coords": [[0.000, 0.000, 0.000], [0.000, 0.004, 0.499], [0.000, 0.498, 0.498], [0.000, 0.499, 0.004], [0.248, 0.667, 0.667], [0.262, 0.160, 0.160], [0.266, 0.161, 0.682], [0.266, 0.682, 0.161], [0.500, 0.499, 0.997], [0.500, 0.997, 0.499], [0.734, 0.161, 0.682], [0.734, 0.682, 0.161], [0.738, 0.160, 0.160], [0.752, 0.667, 0.667], [0.500, 0.503, 0.503], [0.500, 0.001, 0.001]], "magnetic_moment_mub_per_fu": 0.00, "spacegroup": "Amm2"}

=====

Arrangement 2

{"formula": "Mg14CdFe", "functional": "PBE", "state": "optimized geometry", "lattice": [[6.288, 0.000, 0.000], [-3.144, 5.446, 0.000], [0.000, 0.000, 9.912]], "species": ["Mg", "Mg", "Mg", "Mg", "Mg", "Mg", "Mg", "Mg", "Mg", "Mg", "Mg", "Mg", "Mg", "Mg", "Cd", "Fe"], "frac_coords": [[0.000, 0.000, 0.248], [0.000, 0.000, 0.752], [0.015, 0.507, 0.262], [0.015, 0.507, 0.738], [0.331, 0.165, 0.500], [0.336, 0.168, 0.000], [0.493, 0.507, 0.262], [0.493, 0.507, 0.738], [0.493, 0.985, 0.262], [0.493, 0.985, 0.738], [0.832, 0.168, 0.000], [0.832, 0.664, 0.000], [0.835, 0.165, 0.500], [0.835, 0.669, 0.500], [0.333, 0.667, 0.000], [0.333, 0.667, 0.500]], "magnetic_moment_mub_per_fu": 0.03, "spacegroup": "P-6m2"}

=====

Relative energies with respect to the most stable structure, expressed in meV per atom: arrangement 1 6; arrangement 2 0.

=====

Arrangement 1

{"formula": "Mg6CdFe", "functional": "PBE", "state": "optimized geometry", "lattice": [[4.880, 0.000, 0.000], [0.000, 6.135, 0.000], [0.000, 0.000, 10.428]], "species": ["Mg", "Mg", "Mg", "Mg", "Mg", "Mg", "Mg", "Mg", "Mg", "Mg", "Mg", "Mg", "Cd", "Cd", "Fe", "Fe"], "frac_coords": [[0.000, 0.251, 0.085], [0.000, 0.749, 0.085], [0.000, 0.500, 0.836], [0.500, 0.234, 0.907], [0.500, 0.766, 0.907], [0.500, 0.500, 0.664], [0.000, 0.751, 0.585], [0.000, 0.249, 0.585], [0.000, 0.000, 0.336], [0.500, 0.734, 0.407], [0.500, 0.266, 0.407], [0.500, 0.000, 0.164], [0.500, 0.500, 0.169], [0.500, 0.000, 0.669], [0.000, 0.500, 0.348], [0.000, 0.000, 0.848]], "magnetic_moment_mub_per_fu": 2.38}

=====

Arrangement 2

{"formula": "Mg6CdFe", "functional": "PBE", "state": "optimized geometry", "lattice": [[4.861, 0.000, 0.000], [0.000, 6.148, 0.000], [0.000, 0.000, 10.594]], "species": ["Mg", "Mg", "Mg", "Mg", "Mg", "Mg", "Mg", "Mg", "Mg", "Mg", "Mg", "Mg", "Cd", "Cd", "Fe", "Fe"], "frac_coords": [[0.500, 0.252, 0.083], [0.500, 0.748, 0.083], [0.000, 0.236, 0.912], [0.000, 0.764, 0.912], [0.000, 0.500, 0.176], [0.000, 0.500, 0.667], [0.500, 0.752, 0.583], [0.500, 0.248, 0.583], [0.000, 0.736, 0.412], [0.000, 0.264, 0.412], [0.000, 0.000, 0.676], [0.000, 0.000, 0.167], [0.500, 0.500, 0.834], [0.500, 0.000, 0.334], [0.500, 0.500, 0.332], [0.500, 0.000, 0.832]], "magnetic_moment_mub_per_fu": 2.44}

=====

Relative energies with respect to the most stable structure, expressed in meV per atom: arrangement 1 7; arrangement 2 0.

=====

Arrangement 1

{"formula": "CdHg2", "functional": "PBE", "state": "optimized geometry", "lattice": [[3.389, 0.000, 0.000], [0.000, 5.647, 0.000], [0.000, 0.000, 17.199]], "species": ["Cd", "Cd", "Cd", "Cd", "Hg", "Hg", "Hg", "Hg", "Hg", "Hg", "Hg", "Hg"], "frac_coords": [[0.000, 0.000, 0.000], [0.000, 0.500, 0.500], [0.500, 0.000, 0.500], [0.500, 0.500, 0.000], [0.000, 0.000, 0.335], [0.000, 0.000, 0.665], [0.000, 0.500, 0.165], [0.000, 0.500, 0.835], [0.500, 0.000, 0.165], [0.500, 0.000, 0.835], [0.500, 0.500, 0.335], [0.500, 0.500, 0.665]], "magnetic_moment_mub_per_fu": 0.00, "spacegroup": "Fmmm"}

=====

Arrangement 2

{"formula": "CdHg2", "functional": "PBE", "state": "optimized geometry", "lattice": [[4.106, 0.000, 0.000], [0.000, 4.106, 0.000], [0.000, 0.000, 8.984]], "species": ["Cd", "Cd", "Hg", "Hg", "Hg", "Hg"], "frac_coords": [[0.000, 0.000, 0.000], [0.500, 0.500, 0.500], [0.000, 0.000, 0.333], [0.000, 0.000, 0.667], [0.500, 0.500, 0.167], [0.500, 0.500, 0.833]], "magnetic_moment_mub_per_fu": 0.00, "spacegroup": "I4/mmm"}

=====

Relative energies with respect to the most stable structure, expressed in meV per atom: arrangement 1 20; arrangement 2 0.

=====

Arrangement 1

{"formula": "CdHgS4", "functional": "PBE", "state": "optimized geometry", "lattice": [[10.395, 0.000, 0.000], [0.000, 10.395, 0.000], [0.000, 0.000, 3.010]], "species": ["Cd", "Cd", "Hg", "Hg", "S", "S", "S", "S", "S", "S", "S", "S"], "frac_coords": [[0.000, 0.000, 0.000], [0.500, 0.500, 0.500], [0.000, 0.500, 0.250], [0.500, 0.000, 0.750], [0.187, 0.713, 0.762], [0.213, 0.313, 0.738], [0.287, 0.187, 0.238], [0.313, 0.787, 0.262], [0.687, 0.213, 0.262], [0.713, 0.813, 0.238], [0.787, 0.687, 0.738], [0.813, 0.287, 0.762]], "magnetic_moment_mub_per_fu": 0.00, "spacegroup": "I-4"}

=====

Arrangement 2

{"formula": "CdHgS4", "functional": "PBE", "state": "optimized geometry", "lattice": [[7.774, 0.000, 0.000], [0.000, 7.774, 0.000], [0.000, 0.000, 4.733]], "species": ["Cd", "Cd", "Hg", "Hg", "S", "S", "S", "S", "S", "S", "S", "S"], "frac_coords": [[0.000, 0.000, 0.000], [0.500, 0.500, 0.500], [0.000, 0.500, 0.250], [0.500, 0.000, 0.750], [0.215, 0.749, 0.118], [0.249, 0.285, 0.382], [0.251, 0.215, 0.882], [0.285, 0.751, 0.618], [0.715, 0.249, 0.618], [0.749, 0.785, 0.882], [0.751, 0.715, 0.382], [0.785, 0.251, 0.118]], "magnetic_moment_mub_per_fu": 0.00, "spacegroup": "I-4"}

=====

Relative energies with respect to the most stable structure, expressed in meV per atom: arrangement 1 334; arrangement 2 0.

=====

Arrangement 1

{"formula": "Ho2CdS4", "functional": "PBE", "state": "optimized geometry", "lattice": [[6.863, -4.009, 0.000], [6.863, 4.009, 0.000], [-4.799, 0.000, 32.680]], "species": ["Ho", "Ho", "Ho", "Ho", "Ho", "Ho", "Ho", "Ho", "Ho", "Ho", "Ho", "Ho", "Ho", "Ho", "Ho", "Ho", "Ho", "Ho", "Ho", "Ho", "Cd", "Cd", "Cd", "Cd", "Cd", "Cd", "Cd", "Cd", "Cd", "Cd", "S", "S", "S", "S", "S", "S", "S", "S", "S", "S", "S", "S", "S", "S", "S", "S", "S", "S", "S", "S", "S", "S", "S", "S", "S", "S", "S", "S", "S", "S", "S", "S", "S", "S", "S", "S", "S", "S", "S", "S"], "frac_coords": [[0.000, 0.000, 0.000], [0.069, 0.573, 0.723], [0.071, 0.071, 0.225], [0.173, 0.670, 0.526], [0.268, 0.776, 0.324], [0.271, 0.271, 0.826], [0.376, 0.868, 0.124], [0.400, 0.400, 0.200], [0.468, 0.468, 0.425], [0.468, 0.976, 0.924], [0.573, 0.069, 0.723], [0.600, 0.600, 0.800], [0.670, 0.173, 0.526], [0.670, 0.670, 0.526], [0.671, 0.671, 0.025], [0.776, 0.268, 0.324], [0.799, 0.799, 0.399], [0.868, 0.376, 0.124], [0.874, 0.874, 0.625], [0.976, 0.468, 0.924], [0.068, 0.068, 0.723], [0.144, 0.144, 0.449], [0.198, 0.198, 0.601], [0.266, 0.266, 0.323], [0.342, 0.342, 0.049], [0.466, 0.466, 0.924], [0.543, 0.543, 0.650], [0.741, 0.741, 0.248], [0.866, 0.866, 0.124], [0.942, 0.942, 0.848], [0.001, 0.528, 0.076], [0.009, 0.541, 0.572], [0.010, 0.010, 0.572], [0.023, 0.023, 0.080], [0.117, 0.117, 0.371], [0.128, 0.602, 0.875], [0.131, 0.131, 0.876], [0.142, 0.611, 0.373], [0.202, 0.727, 0.675], [0.210, 0.743, 0.173], [0.211, 0.211, 0.173], [0.223, 0.223, 0.679], [0.317, 0.317, 0.970], [0.331, 0.331, 0.476], [0.332, 0.799, 0.476], [0.343, 0.810, 0.973], [0.402, 0.928, 0.276], [0.410, 0.410, 0.773], [0.411, 0.943, 0.773], [0.423, 0.423, 0.280], [0.519, 0.519, 0.570], [0.528, 0.001, 0.076], [0.531, 0.531, 0.076], [0.541, 0.009, 0.572], [0.602, 0.128, 0.875], [0.610, 0.610, 0.373], [0.611, 0.142, 0.373], [0.623, 0.623, 0.880], [0.717, 0.717, 0.170], [0.727, 0.202, 0.675], [0.731, 0.731, 0.675], [0.743, 0.210, 0.173], [0.799, 0.332, 0.476], [0.810, 0.343, 0.973], [0.811, 0.811, 0.973], [0.822, 0.822, 0.479], [0.918, 0.918, 0.769], [0.928, 0.402, 0.276], [0.931, 0.931, 0.276], [0.943, 0.411, 0.773]], "magnetic_moment_mub_per_fu": 0.01, "spacegroup": "Cm"}

=====

Arrangement 2

{"formula": "Ho2CdS4", "functional": "PBE", "state": "optimized geometry", "lattice": [[0.000, 5.632, 5.632], [5.632, 0.000, 5.632], [5.632, 5.632, 0.000]], "species": ["Ho", "Ho", "Ho", "Ho", "Cd", "Cd", "S", "S", "S", "S", "S", "S", "S", "S"], "frac_coords": [[0.000, 0.000, 0.000], [0.000, 0.000, 0.500], [0.000, 0.500, 0.000], [0.500, 0.000, 0.000], [0.375, 0.375, 0.375], [0.625, 0.625, 0.625], [0.227, 0.758, 0.758], [0.242, 0.242, 0.242], [0.242, 0.242, 0.773], [0.242, 0.773, 0.242], [0.758, 0.227, 0.758], [0.758, 0.758, 0.227], [0.758, 0.758, 0.758], [0.773, 0.242, 0.242]], "spacegroup": "Fd-3m"}

=====

Arrangement 3

{"formula": "Ho2CdS4", "functional": "PBE", "state": "optimized geometry", "lattice": [[-3.990, 4.004, 5.698], [3.990, -4.004, 5.698], [3.990, 4.004, -5.698]], "species": ["Ho", "Ho", "Ho", "Ho", "Cd", "Cd", "S", "S", "S", "S", "S", "S", "S", "S"], "frac_coords": [[0.000, 0.000, 0.000], [0.378, 0.628, 0.750], [0.500, 0.000, 0.500], [0.622, 0.372, 0.250], [0.000, 0.000, 0.500], [0.000, 0.500, 0.000], [0.225, 0.241, 0.984], [0.243, 0.759, 0.484], [0.245, 0.228, 0.484], [0.245, 0.761, 0.016], [0.755, 0.239, 0.984], [0.755, 0.772, 0.516], [0.757, 0.241, 0.516], [0.775, 0.759, 0.016]], "magnetic_moment_mub_per_fu": 0.00, "spacegroup": "Imma"}

=====

Arrangement 4

{"formula": "Ho2CdS4", "functional": "PBE", "state": "optimized geometry", "lattice": [[5.499, 0.000, 0.000], [0.000, 5.499, 0.000], [0.000, 0.000, 11.006]], "species": ["Ho", "Ho", "Ho", "Ho", "Cd", "Cd", "S", "S", "S", "S", "S", "S", "S", "S"], "frac_coords": [[0.000, 0.000, 0.000], [0.000, 0.500, 0.250], [0.500, 0.000, 0.750], [0.500, 0.500, 0.500], [0.000, 0.500, 0.750], [0.500, 0.000, 0.250], [0.000, 0.000, 0.246], [0.000, 0.000, 0.754], [0.000, 0.500, 0.006], [0.000, 0.500, 0.494], [0.500, 0.000, 0.506], [0.500, 0.000, 0.994], [0.500, 0.500, 0.254], [0.500, 0.500, 0.746]], "magnetic_moment_mub_per_fu": 0.00, "spacegroup": "I-4m2"}

=====

Relative energies with respect to the most stable structure, expressed in meV per atom: arrangement 1 60; arrangement 2 0; arrangement 3 143; arrangement 4 130.